A plane-wave DFT calculation with GGA+U was carried out for a relaxed Ba3MnF12 crystal.

Properties
- Total moment: 1.0 μB/f.u.
- Crystal system: monoclinic
- Space-group type: No. 12

The structure in extended XYZ format:
```
16
Lattice="0.0673 -6.3602 5.1234 5.2918 6.1158 1.1401 -4.3055 3.1494 4.2172" Properties=species:S:1:pos:R:3 pbc="T T T"
Ba -2.1528 1.5747 2.1086
Ba 2.6459 3.0579 0.5701
Ba 0.0336 -3.1801 2.5617
Mn 0.0000 0.0000 0.0000
F 0.5373 1.5338 1.9789
F 0.5162 1.3712 8.5019
F 0.6446 -2.1187 4.9700
F 1.2552 3.1360 7.9384
F 0.4089 5.0238 5.5107
F -0.2017 -0.2309 2.5423
F -2.5614 3.7385 3.8240
F -1.8438 -0.3556 7.2282
F 3.6149 -0.8334 6.6567
F 2.8973 3.2607 3.2525
F 4.5624 1.4291 5.9344
F -3.5089 1.4760 4.5464
```

A plane-wave DFT calculation with GGA+U was carried out for a relaxed BaMnVF7 crystal.

Properties
- Total moment: 7.0 μB/f.u.
- Crystal system: monoclinic
- Space-group type: No. 15

The structure in extended XYZ format:
```
40
Lattice="-0.5754 -7.4072 0.9713 1.5859 -6.2826 -3.7622 13.8562 -0.2585 6.2651" Properties=species:S:1:pos:R:3 pbc="T T T"
Ba 5.4296 -4.3401 1.7175
Ba 9.4371 -9.6083 1.7567
Ba 2.3144 -9.5802 -0.9497
Ba 12.5523 -4.3681 4.4239
Mn 5.7490 -8.5116 0.6975
Mn 9.1177 -5.4368 2.7767
Mn 2.1212 -5.3430 -0.2062
Mn 12.7455 -8.6053 3.6804
V 0.0000 0.0000 0.0000
V 6.9281 -0.1293 3.1326
V 4.9280 -6.4107 -1.9288
V 9.9388 -7.5376 5.4030
F 0.0959 -6.0499 -0.2475
F 14.7708 -7.8984 3.7217
F 7.0153 -8.1996 2.4011
F 7.8514 -5.7487 1.0731
F 1.2957 -3.4966 0.1673
F 13.5710 -10.4517 3.3070
F 6.3495 -10.4751 0.8169
F 8.5172 -3.4733 2.6573
F 4.9511 -8.9561 -1.1991
F 9.9156 -4.9922 4.6733
F 3.9491 -4.3626 -0.5653
F 10.9176 -9.5857 4.0395
F 3.1649 -6.9429 -1.1174
F 11.7018 -7.0054 4.5916
F 5.4328 -6.5332 0.0154
F 9.4339 -7.4152 3.4588
F 2.7623 -5.8167 1.7699
F 12.1044 -8.1317 1.7043
F 3.8115 -8.7125 1.5610
F 11.0553 -5.2358 1.9133
F 7.7086 -8.1890 -0.3262
F 7.1581 -5.7594 3.8005
F 1.6019 -4.9162 -2.3370
F 13.2648 -9.0321 5.8112
F 10.0748 -7.1227 0.5006
F 4.7920 -6.8256 2.9736
F 13.4579 -6.0506 2.3000
F 1.4088 -7.8977 1.1742
```

A plane-wave DFT calculation with GGA+U was carried out for a relaxed Ba2YMn2F11 crystal.

Properties
- Total moment: 0.0 μB/f.u.
- Crystal system: trigonal
- Space-group type: No. 145

The structure in extended XYZ format:
```
48
Lattice="4.0115 -6.9481 0.0000 4.0115 6.9481 0.0000 0.0000 0.0000 13.6665" Properties=species:S:1:pos:R:3 pbc="T T T"
Ba 6.9249 -0.2814 9.0655
Ba 2.7620 -2.2014 11.1314
Ba 4.3168 -5.8565 13.6210
Ba 4.5370 -3.4555 6.5759
Ba 4.7356 -1.2913 2.0204
Ba 0.7927 -0.8102 4.5100
Y 4.5474 1.4952 12.1969
Y 3.0327 2.2623 3.0859
Y 4.4544 3.1905 7.6414
Mn 6.4434 -1.9984 12.1793
Mn 1.9623 2.1143 9.9042
Mn 5.2108 0.6423 5.3487
Mn 3.0706 -4.5810 3.0683
Mn 4.8614 4.1915 0.7932
Mn 2.5204 -0.3687 7.6238
F 3.0880 5.2508 0.4973
F 4.7828 -3.0908 12.7164
F 7.0149 1.6484 5.0528
F 2.0066 -2.4716 6.6438
F 7.6339 0.4587 2.4585
F 2.5154 0.1953 2.6168
F 5.1486 -3.9746 2.0883
F 6.5962 2.0808 11.7278
F 0.5918 0.1076 7.0140
F 2.4511 -4.0700 1.0821
F 4.8793 -0.5020 11.1994
F 1.9316 0.0489 9.6083
F 5.4468 0.2433 0.0255
F 2.1366 -1.2885 0.0249
F 1.4987 2.1094 4.5810
F 4.2968 -1.2607 8.1609
F 4.4430 3.7250 12.3234
F 3.2728 -0.0877 5.6376
F 4.1407 2.6650 5.3399
F 5.0889 4.5955 9.1365
F 4.2491 2.0296 9.8954
F 4.0591 -4.4535 9.1359
F 5.8388 -1.2061 4.5804
F 5.0159 1.2378 3.2124
F 6.3106 -2.7904 10.1931
F 3.8088 6.3818 11.5695
F 2.9549 -2.5966 3.6054
F 2.3638 1.4212 11.9186
F 4.0604 4.1904 2.8076
F 3.6446 2.2535 0.7843
F 2.9229 4.6721 7.1723
F 2.5755 1.9853 7.7679
F 5.6103 1.3365 7.3631
```

A plane-wave DFT calculation with GGA+U was carried out for a relaxed BaMoF7 crystal.

Properties
- Crystal system: monoclinic
- Space-group type: No. 14

The structure in extended XYZ format:
```
36
Lattice="10.1399 0.0000 0.0000 0.0000 5.6971 0.0000 0.0000 0.4861 10.6300" Properties=species:S:1:pos:R:3 pbc="T T T"
Ba 3.3788 1.9659 5.3841
Ba 8.4487 4.4603 10.5608
Ba 6.7611 4.2173 5.2458
Ba 1.6912 1.7229 0.0691
Mo 6.1899 1.1435 1.9854
Mo 3.9500 5.0397 8.6445
Mo 9.0199 1.3865 7.3004
Mo 1.1199 4.7967 3.3296
F 4.6196 0.9890 9.3110
F 0.5201 2.1653 6.7151
F 7.0423 2.7539 2.5765
F 3.0976 3.4293 8.0535
F 4.6066 5.3462 6.8200
F 8.1675 1.7195 5.5785
F 7.7368 0.1215 2.5490
F 9.6766 1.0801 9.1249
F 4.5498 1.9223 1.4001
F 1.9724 3.1863 2.7385
F 0.4503 0.7460 3.9960
F 5.5202 5.1942 1.3190
F 2.6668 5.8186 2.7660
F 9.7160 2.2603 1.1978
F 5.5333 0.8370 3.8099
F 0.4633 5.1031 1.5050
F 2.4031 6.0617 8.0810
F 9.6896 5.4372 6.6340
F 4.6460 3.6799 4.1172
F 9.6198 4.0178 3.9149
F 0.4239 3.9229 9.4321
F 7.4731 0.3646 7.8640
F 5.4939 2.5033 6.5128
F 3.0975 4.7067 10.3665
F 1.9724 4.4637 5.0515
F 7.0424 1.4765 0.2635
F 5.5901 4.2609 9.2299
F 8.1675 2.9969 7.8914
```

A plane-wave DFT calculation with GGA+U was carried out for a relaxed Ba4Mo2O6F13 crystal.

Properties
- Total moment: 2.0 μB/f.u.
- Crystal system: orthorhombic
- Space-group type: No. 58

The structure in extended XYZ format:
```
100
Lattice="8.7345 0.0000 0.0000 0.0000 11.8027 0.0000 0.0000 0.0000 16.2980" Properties=species:S:1:pos:R:3 pbc="T T T"
Ba 4.2559 5.9013 13.3001
Ba 4.4786 5.9013 2.9979
Ba 0.1113 0.0000 5.1511
Ba 8.6232 0.0000 11.1469
Ba 2.1638 3.7827 9.8440
Ba 6.5707 3.7827 6.4540
Ba 2.2035 2.1186 1.6950
Ba 6.5310 2.1186 14.6030
Ba 6.5707 8.0200 6.4540
Ba 2.1638 8.0200 9.8440
Ba 6.5310 9.6840 14.6030
Ba 2.2035 9.6840 1.6950
Ba 0.1085 5.9013 13.2726
Ba 8.6260 5.9013 3.0254
Ba 4.2588 0.0000 5.1236
Ba 4.4757 0.0000 11.1744
Mo 2.1408 1.8785 13.6782
Mo 6.5937 1.8785 2.6198
Mo 2.2265 4.0228 5.5292
Mo 6.5080 4.0228 10.7688
Mo 6.5937 9.9242 2.6198
Mo 2.1408 9.9242 13.6782
Mo 6.5080 7.7798 10.7688
Mo 2.2265 7.7798 5.5292
O 6.5694 0.0000 8.9475
O 2.1651 0.0000 7.3505
O 6.5323 5.9013 0.7985
O 2.2022 5.9013 15.4995
O 0.3942 1.7658 13.4467
O 8.3403 1.7658 2.8514
O 3.9730 4.1355 5.2976
O 4.7615 4.1355 11.0004
O 8.3403 10.0368 2.8514
O 0.3942 10.0368 13.4467
O 4.7615 7.6672 11.0004
O 3.9730 7.6672 5.2976
O 2.3220 2.2566 15.3473
O 6.4125 2.2566 0.9507
O 2.0453 3.6447 7.1983
O 6.6892 3.6447 9.0997
O 6.4125 9.5461 0.9507
O 2.3220 9.5461 15.3473
O 6.6892 8.1579 9.0997
O 2.0453 8.1579 7.1983
O 2.4945 0.0000 13.6899
O 6.2400 0.0000 2.6081
O 1.8728 5.9013 5.5409
O 6.8617 5.9013 10.7571
F 6.5333 0.0000 12.9642
F 2.2012 0.0000 3.3338
F 6.5685 5.9013 4.8152
F 2.1660 5.9013 11.4828
F 2.2154 3.8237 13.1334
F 6.5191 3.8237 3.1646
F 2.1519 2.0776 4.9844
F 6.5826 2.0776 11.3136
F 6.5191 7.9790 3.1646
F 2.2154 7.9790 13.1334
F 6.5826 9.7250 11.3136
F 2.1519 9.7250 4.9844
F 2.1860 1.5392 11.4520
F 6.5485 1.5392 4.8460
F 2.1812 4.3621 3.3030
F 6.5533 4.3621 12.9951
F 6.5485 10.2634 4.8460
F 2.1860 10.2634 11.4520
F 6.5533 7.4406 12.9951
F 2.1812 7.4406 3.3030
F 8.5101 3.8788 11.2900
F 0.2243 3.8788 5.0080
F 4.5916 2.0225 3.1410
F 4.1429 2.0225 13.1570
F 0.2243 7.9239 5.0080
F 8.5101 7.9239 11.2900
F 4.1429 9.7801 13.1570
F 4.5916 9.7801 3.1410
F 3.9617 1.7124 9.0773
F 4.7727 1.7124 7.2207
F 0.4055 4.1889 0.9283
F 8.3290 4.1889 15.3697
F 4.7727 10.0902 7.2207
F 3.9617 10.0902 9.0773
F 8.3290 7.6138 15.3697
F 0.4055 7.6138 0.9283
F 0.4562 1.6564 9.0476
F 8.2783 1.6564 7.2504
F 3.9111 4.2449 0.8986
F 4.8234 4.2449 15.3994
F 8.2783 10.1462 7.2504
F 0.4562 10.1462 9.0476
F 4.8234 7.5578 15.3994
F 3.9111 7.5578 0.8986
F 3.5658 5.9013 8.7417
F 5.1687 5.9013 7.5563
F 0.8014 0.0000 0.5927
F 7.9331 0.0000 15.7053
F 4.9836 0.0000 15.5063
F 3.7509 0.0000 0.7917
F 8.1182 5.9013 7.3573
F 0.6163 5.9013 8.9407
```

A plane-wave DFT calculation with GGA+U was carried out for a relaxed BaZnMoF7 crystal.

Properties
- Total moment: 3.0 μB/f.u.
- Crystal system: monoclinic
- Space-group type: No. 14

The structure in extended XYZ format:
```
40
Lattice="10.2500 0.0000 0.0000 0.0000 5.7853 0.0000 0.0000 0.4584 9.9001" Properties=species:S:1:pos:R:3 pbc="T T T"
Ba 3.3144 4.4844 4.9215
Ba 8.4394 1.5302 0.0285
Ba 6.9356 1.7594 4.9786
Ba 1.8106 4.7136 9.8716
Zn 4.0697 2.1557 8.0126
Zn 9.1948 4.3173 6.8375
Zn 1.0553 1.9265 3.0626
Zn 6.1803 4.0880 1.8875
Mo 6.2660 5.0289 8.0653
Mo 3.9840 1.2149 1.8348
Mo 9.1090 4.7997 3.1152
Mo 1.1410 1.4441 6.7849
F 4.5849 5.0967 1.1771
F 0.6140 3.8214 3.7216
F 7.2930 3.2814 7.4385
F 2.9571 2.9624 2.4616
F 4.7216 0.7691 3.7204
F 8.2125 4.5032 5.0189
F 8.0383 6.0096 7.4279
F 9.8466 5.2454 1.2297
F 4.5111 4.0507 8.6716
F 2.1679 3.1916 7.4117
F 0.5401 5.3259 6.1272
F 5.6651 1.1471 8.7230
F 2.9133 0.4634 7.4223
F 9.8196 3.9005 8.6432
F 5.5284 5.4746 6.1798
F 0.4034 0.9984 8.6704
F 2.2117 0.2342 2.4722
F 9.7100 0.9178 3.7729
F 4.6946 2.5725 6.2069
F 9.6361 2.4223 6.1785
F 0.4305 2.3433 1.2569
F 7.3367 5.7803 2.4778
F 5.5555 3.6713 3.6932
F 3.0875 1.9697 9.8312
F 2.0376 1.7405 4.8812
F 7.1626 4.2740 0.0689
F 5.7390 2.1931 1.2285
F 8.0821 3.0522 2.4884
```

A plane-wave DFT calculation with GGA+U was carried out for a relaxed BaNaVF6 crystal.

Properties
- Total moment: 2.0 μB/f.u.
- Crystal system: orthorhombic
- Space-group type: No. 33

The structure in extended XYZ format:
```
72
Lattice="5.7089 0.0000 0.0000 0.0000 10.0439 0.0000 0.0000 0.0000 19.6039" Properties=species:S:1:pos:R:3 pbc="T T T"
Ba 4.3235 3.6772 2.2148
Ba 1.3854 8.6991 17.3891
Ba 4.2398 3.6772 12.0168
Ba 1.4691 8.6991 7.5871
Ba 1.4701 0.0329 2.6723
Ba 4.2388 5.0549 16.9316
Ba 1.3844 0.0329 12.4743
Ba 4.3245 5.0549 7.1296
Na 1.4761 6.3989 1.2563
Na 4.2327 1.3770 18.3477
Na 1.3783 6.3989 11.0582
Na 4.3306 1.3770 8.5457
Na 1.4821 2.3067 6.1372
Na 4.2268 7.3286 13.4667
Na 1.3723 2.3067 15.9392
Na 4.3365 7.3286 3.6647
V 1.5018 2.6409 9.6817
V 4.2071 7.6628 9.9222
V 1.3527 2.6409 19.4837
V 4.3562 7.6628 0.1202
V 1.4439 6.0671 4.8087
V 4.2650 1.0452 14.7952
V 1.4105 6.0671 14.6106
V 4.2983 1.0452 4.9933
F 0.1270 1.7448 1.1586
F 5.5818 6.7668 18.4453
F 2.7274 1.7448 10.9606
F 2.9814 6.7668 8.6433
F 1.8992 1.1739 8.4128
F 3.8097 6.1959 11.1911
F 0.9552 1.1739 18.2147
F 4.7536 6.1959 1.3892
F 2.8534 1.6270 0.7024
F 2.8555 6.6489 18.9015
F 0.0011 1.6270 10.5044
F 5.7078 6.6489 9.0995
F 2.7532 5.4152 3.5058
F 2.9556 0.3932 16.0981
F 0.1012 5.4152 13.3078
F 5.6077 0.3932 6.2961
F 3.0183 1.9410 3.7558
F 2.6905 6.9629 15.8481
F 5.5450 1.9410 13.5577
F 0.1639 6.9629 6.0462
F 1.7267 4.6205 6.1104
F 3.9822 9.6425 13.4935
F 1.1277 4.6205 15.9124
F 4.5811 9.6425 3.6915
F 0.2451 3.2931 8.3219
F 5.4637 8.3151 11.2820
F 2.6093 3.2931 18.1239
F 3.0996 8.3151 1.4800
F 0.0700 2.0482 4.1381
F 5.6389 7.0701 15.4659
F 2.7845 2.0482 13.9400
F 2.9244 7.0701 5.6639
F 3.1270 3.5612 9.0412
F 2.5818 8.5832 10.5627
F 5.4363 3.5612 18.8432
F 0.2726 8.5832 0.7607
F 1.1173 7.5413 3.5387
F 4.5915 2.5194 16.0652
F 1.7371 7.5413 13.3407
F 3.9718 2.5194 6.2632
F 1.6913 4.0791 1.1742
F 4.0176 9.1010 18.4297
F 1.1631 4.0791 10.9762
F 4.5457 9.1010 8.6278
F 2.7136 0.1417 5.7334
F 2.9953 5.1636 13.8705
F 0.1409 0.1417 15.5353
F 5.5680 5.1636 4.0686
```

A plane-wave DFT calculation with GGA+U was carried out for a relaxed Ba2Ni2F11 crystal.

Properties
- Total moment: 7.0 μB/f.u.
- Crystal system: trigonal
- Space-group type: No. 145

The structure in extended XYZ format:
```
45
Lattice="0.2401 0.5512 7.5773 -4.6396 -5.0366 -3.2991 10.1249 -9.5728 0.3756" Properties=species:S:1:pos:R:3 pbc="T T T"
Ba 6.1272 -7.0896 3.6715
Ba 6.2012 -10.2430 -0.0998
Ba -1.9328 -2.0946 3.3884
Ba 1.9928 -7.8496 1.9139
Ba -2.2190 -5.6249 -0.2781
Ba 2.0454 -4.5821 5.1814
Ni 4.5564 -12.9987 2.0315
Ni 3.9630 -10.3846 4.2044
Ni 3.6558 -4.0468 1.5836
Ni 0.6295 -3.6459 1.3986
Ni 0.1578 -0.7878 6.5103
Ni 2.4348 -8.6288 -1.8329
F 0.0723 -0.0563 4.6275
F 6.2417 -12.2038 1.9329
F 1.9255 -4.9613 2.0908
F 2.6027 -7.1374 -0.6570
F 0.7069 -2.8086 3.1072
F -0.7042 -4.3045 5.1764
F -1.1372 -4.2306 1.8134
F 7.1795 -9.6132 2.2173
F 3.1569 -6.9362 4.2983
F -0.2841 -2.0918 0.7286
F 4.2581 -12.1117 0.3703
F 4.4381 -8.9342 5.5303
F 9.9927 -9.6015 2.7164
F -1.5415 -1.6769 6.1566
F 0.4187 -6.1727 3.3291
F 2.3683 -9.6209 -0.2539
F 9.1248 -8.7617 7.1422
F 0.6237 -8.0042 -2.0029
F 3.5252 -4.5166 -0.1737
F 5.6501 -7.2783 6.5601
F 2.9286 -11.9892 -2.1138
F 4.3537 -9.1049 2.7857
F 3.5843 -3.1328 3.3048
F 2.3191 -2.6675 1.0601
F 3.4697 -11.5739 2.7300
F 7.6065 -8.9667 5.0298
F 0.4829 -4.8407 -0.0273
F 5.6712 -11.0068 4.4572
F 1.2644 -2.0830 5.8270
F -3.1638 -4.6730 3.7240
F 5.1215 -4.9135 5.0463
F 2.2468 -9.3818 4.3153
F 4.4908 -5.5803 2.1495
```

| no. | final energy (eV per cell) | calculated formation energy (eV/f.u.) |
| --- | --- | --- |
| 1 | -77.35 | -46.66 |
| 2 | -243.41 | -33.89 |
| 3 | -302.93 | -59.71 |
| 4 | -191.99 | -28.27 |
| 5 | -538.11 | -67.11 |
| 6 | -209.67 | -31.43 |
| 7 | -408.29 | -31.70 |
| 8 | -197.58 | -39.57 |